VASP calculation (PBE with a Hubbard U) on a relaxed MgCd2Fe4O8 crystal.

```
MgCd2Fe4O8
1.0
6.079 0.000 0.000
-0.006 6.096 0.000
-2.822 -2.809 5.723
Mg Cd Fe O
1 2 4 8
Direct
0.000 0.000 0.000 Mg
0.261 0.759 0.501 Cd
0.465 0.570 0.002 Cd
0.409 0.209 0.368 Fe
0.805 0.610 0.622 Fe
0.848 0.142 0.677 Fe
0.887 0.210 0.333 Fe
0.066 0.896 0.724 O
0.074 0.425 0.711 O
0.115 0.352 0.239 O
0.144 0.951 0.281 O
0.611 0.428 0.290 O
0.612 0.391 0.699 O
0.620 0.969 0.290 O
0.659 0.885 0.756 O
```

## Properties
Energy relative to the elements, eV/atom: -1.422
Total moment, μB per formula unit: 18.000
Excess energy over the best structure of this formula in the dataset, meV per atom: 158.1